The following is a DFT calculation (PBE-GGA) of crystalline Ta2FeRe2Se8 at its relaxed geometry.

abc: 3.456 3.456 26.318
angles: 90.00 90.00 120.00
Fractional positions:
Se  0.000  0.000  0.066
Se  0.000  0.000  0.565
Se  0.333  0.667  0.439
Se  0.333  0.667  0.311
Se  0.333  0.667  0.939
Se  0.000  0.000  0.184
Se  0.000  0.000  0.689
Se  0.333  0.667  0.810
Re  0.667  0.333  0.125
Re  0.667  0.333  0.623
Fe  0.667  0.333  0.749
Ta  0.667  0.333  0.375
Ta  0.667  0.333  0.875

Computed properties:
V ... 272.2 Å³ per cell
Total magnetic moment ... 3.432 μB/cell
Formation enthalpy at 0 K ... -0.612 eV/atom

***

The following is a DFT calculation (PBE-GGA) of crystalline Zn2H24C12Br7O6 at its relaxed geometry.

abc: 8.697 10.700 16.349
angles: 98.29 103.69 99.33
Fractional positions:
C  0.196  0.652  0.656
C  0.383  0.643  0.140
C  0.478  0.679  0.298
C  0.404  0.659  0.786
C  0.308  0.052  0.566
C  0.487  0.749  0.870
C  0.832  0.051  0.432
C  0.261  0.730  0.123
C  0.522  0.321  0.702
C  0.739  0.270  0.877
C  0.449  0.806  0.340
C  0.596  0.341  0.214
C  0.168  0.949  0.568
C  0.891  0.256  0.390
C  0.804  0.348  0.344
C  0.770  0.063  0.903
C  0.513  0.251  0.130
C  0.692  0.948  0.434
C  0.617  0.357  0.860
C  0.679  0.948  0.927
C  0.551  0.194  0.660
C  0.321  0.052  0.073
C  0.109  0.744  0.610
C  0.230  0.937  0.097
H  0.569  0.204  0.597
H  0.733  0.393  0.383
H  0.574  0.704  0.911
H  0.397  0.773  0.904
H  0.342  0.833  0.301
H  0.629  0.398  0.713
H  0.833  0.033  0.854
H  0.167  0.967  0.146
H  0.610  0.980  0.972
H  0.316  0.547  0.142
H  0.431  0.796  0.403
H  0.263  0.135  0.544
H  0.235  0.106  0.040
H  0.909  0.090  0.498
H  0.417  0.347  0.661
H  0.624  0.986  0.478
H  0.376  0.014  0.522
H  0.185  0.691  0.057
H  0.179  0.725  0.166
H  0.737  0.865  0.456
H  0.583  0.653  0.339
H  0.091  0.910  0.502
H  0.507  0.368  0.248
H  0.969  0.216  0.353
H  0.671  0.427  0.205
H  0.765  0.894  0.960
H  0.329  0.573  0.795
H  0.684  0.453  0.858
H  0.861  0.120  0.961
H  0.964  0.305  0.455
H  0.426  0.296  0.089
H  0.658  0.167  0.699
H  0.558  0.367  0.912
H  0.110  0.577  0.671
H  0.442  0.633  0.088
H  0.493  0.632  0.752
H  0.390  0.020  0.028
H  0.603  0.227  0.096
H  0.821  0.275  0.834
H  0.139  0.880  0.039
H  0.371  0.602  0.287
H  0.905  0.010  0.392
H  0.031  0.784  0.647
H  0.267  0.607  0.617
H  0.890  0.423  0.329
H  0.815  0.309  0.943
H  0.036  0.695  0.545
H  0.095  0.990  0.608
Br  0.063  0.273  0.669
Br  0.348  0.126  0.332
Br  0.746  0.983  0.192
Br  0.036  0.563  0.864
Br  0.254  0.017  0.808
Br  0.775  0.632  0.076
Br  0.122  0.292  0.197
Br  0.456  0.394  0.454
Br  0.544  0.606  0.546
Br  0.652  0.874  0.668
Br  0.225  0.368  0.924
Br  0.964  0.437  0.136
Br  0.878  0.708  0.803
Br  0.937  0.727  0.331
O  0.428  0.136  0.148
O  0.342  0.859  0.129
O  0.658  0.141  0.871
O  0.698  0.271  0.265
O  0.233  0.847  0.603
O  0.414  0.091  0.652
O  0.586  0.909  0.348
O  0.484  0.314  0.783
O  0.572  0.864  0.852
O  0.302  0.729  0.735
O  0.767  0.153  0.397
O  0.516  0.686  0.217
Zn  0.429  0.922  0.725
Zn  0.247  0.241  0.792
Zn  0.753  0.759  0.208
Zn  0.571  0.078  0.275

Computed properties:
V ... 1431.9 Å³ per cell
Total magnetic moment ... 0.003 μB/cell
Formation enthalpy at 0 K ... -0.451 eV/atom

***

The following is a DFT calculation (PBE-GGA) of crystalline K2Cu3Ge5O14 at its relaxed geometry.

abc: 6.354 7.282 7.976
angles: 80.93 70.90 79.37
Fractional positions:
O  0.316  0.898  0.906
O  0.232  0.177  0.115
O  0.267  0.498  0.237
O  0.768  0.823  0.885
O  0.684  0.102  0.094
O  0.426  0.826  0.219
O  0.600  0.838  0.565
O  0.400  0.162  0.435
O  0.056  0.183  0.781
O  0.921  0.276  0.456
O  0.733  0.502  0.763
O  0.079  0.724  0.544
O  0.944  0.817  0.219
O  0.574  0.174  0.781
Ge  0.210  0.262  0.315
Ge  0.828  0.269  0.696
Ge  0.172  0.731  0.304
Ge  0.790  0.738  0.685
Ge  0.500  0.000  0.000
K  0.722  0.486  0.161
K  0.278  0.514  0.839
Cu  0.656  0.972  0.329
Cu  0.000  0.000  0.000
Cu  0.344  0.028  0.671

Computed properties:
V ... 340.9 Å³ per cell
Total magnetic moment ... 1.000 μB/cell
Formation enthalpy at 0 K ... -1.831 eV/atom

***

The following is a DFT calculation (PBE-GGA) of crystalline CeZn2Ag at its relaxed geometry.

abc: 4.852 4.852 4.852
angles: 60.00 60.00 60.00
Fractional positions:
Ce  0.000  0.000  0.000
Zn  0.750  0.750  0.750
Zn  0.250  0.250  0.250
Ag  0.500  0.500  0.500

Computed properties:
V ... 80.8 Å³ per cell
Total magnetic moment ... 0.814 μB/cell
Formation enthalpy at 0 K ... -0.220 eV/atom

***

The following is a DFT calculation (PBE-GGA) of crystalline MgSnIr2 at its relaxed geometry.

abc: 4.507 4.507 4.507
angles: 60.00 60.00 60.00
Fractional positions:
Ir  0.750  0.750  0.750
Ir  0.250  0.250  0.250
Sn  0.000  0.000  0.000
Mg  0.500  0.500  0.500

Computed properties:
V ... 64.7 Å³ per cell
Formation enthalpy at 0 K ... -0.339 eV/atom

***

The following is a DFT calculation (PBE-GGA) of crystalline Na5Mg2Ti2P5SO24 at its relaxed geometry.

abc: 8.812 8.829 22.051
angles: 90.27 89.62 120.15
Fractional positions:
O  0.024  0.198  0.191
O  0.798  0.965  0.694
O  0.502  0.649  0.572
O  0.475  0.355  0.144
O  0.821  0.786  0.308
O  0.135  0.495  0.862
O  0.978  0.166  0.588
O  0.833  0.811  0.588
O  0.838  0.032  0.088
O  0.161  0.681  0.470
O  0.312  0.464  0.470
O  0.471  0.163  0.529
O  0.477  0.320  0.742
O  0.856  0.365  0.923
O  0.207  0.027  0.303
O  0.522  0.891  0.357
O  0.174  0.982  0.911
O  0.306  0.477  0.756
O  0.315  0.857  0.977
O  0.017  0.826  0.417
O  0.350  0.857  0.574
O  0.167  0.473  0.251
O  0.180  0.199  0.413
O  0.641  0.146  0.427
O  0.843  0.524  0.743
O  0.011  0.190  0.911
O  0.684  0.522  0.244
O  0.836  0.533  0.029
O  0.634  0.116  0.143
O  0.635  0.501  0.921
O  0.108  0.631  0.357
O  0.682  0.156  0.743
O  0.143  0.654  0.077
O  0.520  0.836  0.470
O  0.468  0.157  0.245
O  0.523  0.827  0.756
O  0.799  0.818  0.910
O  0.505  0.859  0.076
O  0.368  0.478  0.361
O  0.344  0.487  0.078
O  0.189  0.159  0.089
O  0.841  0.307  0.530
O  0.824  0.031  0.806
O  0.834  0.309  0.245
O  0.692  0.535  0.527
O  0.210  0.176  0.805
O  0.144  0.456  0.976
O  0.803  0.974  0.417
O  0.361  0.867  0.862
O  0.515  0.639  0.861
O  0.851  0.499  0.427
O  0.148  0.496  0.572
O  0.810  0.832  0.195
O  0.540  0.687  0.971
O  0.183  0.975  0.194
O  0.172  0.696  0.756
O  0.036  0.832  0.694
O  0.528  0.696  0.252
O  0.477  0.111  0.643
O  0.893  0.368  0.643
O  0.883  0.519  0.142
O  0.966  0.791  0.806
O  0.188  0.023  0.588
O  0.507  0.145  0.923
O  0.701  0.167  0.030
O  0.307  0.841  0.253
O  0.499  0.362  0.424
O  0.167  0.203  0.694
O  0.972  0.173  0.304
O  0.633  0.522  0.641
O  0.977  0.814  0.090
O  0.469  0.300  0.031
Ti  0.334  0.679  0.521
Ti  0.669  0.330  0.980
Ti  0.324  0.669  0.818
Ti  0.985  0.998  0.144
Ti  0.997  0.998  0.646
Ti  0.677  0.329  0.486
P  0.709  0.707  0.252
P  0.999  0.290  0.250
P  0.965  0.334  0.585
P  0.664  0.626  0.583
P  0.709  0.999  0.752
P  0.040  0.665  0.417
P  0.374  0.044  0.585
P  0.376  0.334  0.085
P  0.957  0.627  0.084
P  0.038  0.371  0.920
P  0.332  0.962  0.920
P  0.623  0.963  0.416
P  0.999  0.711  0.751
P  0.290  0.291  0.751
P  0.663  0.040  0.085
Na  0.998  0.996  0.990
Na  0.369  0.011  0.747
Na  0.038  0.346  0.078
Na  0.705  0.674  0.418
Na  0.344  0.662  0.162
Na  0.666  0.332  0.834
Na  0.994  0.624  0.252
Na  0.676  0.327  0.337
Na  0.370  0.372  0.248
Na  0.991  0.358  0.748
Na  0.006  0.005  0.500
Na  0.639  0.002  0.253
Na  0.638  0.631  0.747
Na  0.335  0.665  0.662
Na  0.302  0.965  0.077
Mg  0.996  0.001  0.356
Mg  0.669  0.337  0.182
Mg  0.335  0.666  0.018
Mg  0.330  0.666  0.319
Mg  0.004  0.004  0.853
Mg  0.667  0.335  0.682
S  0.625  0.665  0.917
S  0.335  0.373  0.417
S  0.289  0.001  0.250

Computed properties:
V ... 1483.5 Å³ per cell
Total magnetic moment ... 0.000 μB/cell
Formation enthalpy at 0 K ... -2.792 eV/atom

***

Question: The lowest formation enthalpy at 0 K belongs to which entry?
Answer: Na5Mg2Ti2P5SO24

***

Question: Among the records above, which one has the lowest formation enthalpy at 0 K?
Answer: Na5Mg2Ti2P5SO24